Entry 1:
DFT (PBE-GGA) results for Ho4CdCo after structural relaxation.

Results
- energy relative to the elements (eV per atom) = -0.254

```
Ho4CdCo
1.0
0.000 6.685 6.685
6.685 0.000 6.685
6.685 6.685 0.000
Ho Co Cd
16 4 4
direct
0.961 0.346 0.346
0.188 0.812 0.812
0.346 0.346 0.346
0.938 0.562 0.938
0.346 0.346 0.961
0.188 0.188 0.812
0.562 0.938 0.938
0.938 0.938 0.562
0.562 0.562 0.938
0.812 0.812 0.188
0.812 0.188 0.812
0.812 0.188 0.188
0.188 0.812 0.188
0.938 0.562 0.562
0.562 0.938 0.562
0.346 0.961 0.346
0.141 0.141 0.577
0.577 0.141 0.141
0.141 0.141 0.141
0.141 0.577 0.141
0.581 0.581 0.258
0.581 0.258 0.581
0.581 0.581 0.581
0.258 0.581 0.581
```

---

Entry 2:
DFT (PBE-GGA) results for Mg14CdCo after structural relaxation.

Results
- energy relative to the elements (eV per atom) = 0.045
- ΔE to the lowest computed polymorph (eV per formula unit) = 0.00

```
Mg14CdCo
1.0
-6.020 1.225 -1.325
1.448 -4.154 4.489
-0.002 7.272 6.731
Mg Cd Co
14 1 1
direct
0.833 0.667 0.873
0.668 0.337 0.125
0.326 0.653 0.885
0.326 0.174 0.365
0.163 0.832 0.125
0.833 0.667 0.377
0.668 0.832 0.125
0.168 0.834 0.625
0.847 0.174 0.885
0.666 0.332 0.625
0.666 0.834 0.625
0.847 0.174 0.365
0.326 0.174 0.885
0.326 0.653 0.365
0.167 0.333 0.625
0.167 0.333 0.125
```

---

Entry 3:
DFT (PBE-GGA) results for Mg6CdCo after structural relaxation.

Results
- energy relative to the elements (eV per atom) = 0.089

```
Mg6CdCo
1.0
-1.510 -1.873 4.264
0.968 -5.686 -2.155
9.901 0.305 3.641
Co Mg Cd
2 12 2
direct
0.000 0.500 0.345
0.000 0.000 0.845
0.500 0.236 0.909
0.000 0.750 0.084
0.000 0.000 0.334
0.000 0.250 0.084
0.500 0.500 0.666
0.500 0.264 0.409
0.500 0.736 0.409
0.000 0.500 0.834
0.500 0.000 0.166
0.000 0.250 0.584
0.500 0.764 0.909
0.000 0.750 0.584
0.500 0.500 0.169
0.500 0.000 0.669
```

---

Entry 4:
DFT (PBE-GGA) results for Mg14CdCo after structural relaxation.

Results
- energy relative to the elements (eV per atom) = 0.054
- ΔE to the lowest computed polymorph (eV per formula unit) = 0.15

```
Mg14CdCo
1.0
6.296 -0.020 0.000
-3.165 5.482 0.000
0.000 0.000 9.889
Mg Cd Co
14 1 1
direct
0.845 0.173 0.363
0.832 0.666 0.871
0.665 0.835 0.625
0.168 0.334 0.625
0.832 0.666 0.379
0.674 0.339 0.125
0.171 0.836 0.625
0.845 0.173 0.887
0.665 0.330 0.625
0.325 0.173 0.357
0.325 0.652 0.893
0.674 0.836 0.125
0.325 0.652 0.357
0.325 0.173 0.893
0.163 0.831 0.125
0.165 0.333 0.125
```

---

Entry 5:
DFT (PBE-GGA) results for Mg6CdCo after structural relaxation.

Results
- energy relative to the elements (eV per atom) = 0.087

```
Mg6CdCo
1.0
4.853 0.000 0.000
0.000 6.181 0.000
0.000 0.000 10.597
Co Mg Cd
2 12 2
direct
0.500 0.000 0.833
0.500 0.500 0.333
0.500 0.751 0.584
0.500 0.251 0.084
0.000 0.500 0.176
0.000 0.500 0.667
0.000 0.235 0.912
0.000 0.765 0.912
0.000 0.265 0.412
0.000 0.000 0.676
0.500 0.749 0.084
0.000 0.000 0.167
0.500 0.249 0.584
0.000 0.735 0.412
0.500 0.500 0.833
0.500 0.000 0.333
```

---

Entry 6:
DFT (PBE-GGA) results for CdCo3N after structural relaxation.

Results
- energy relative to the elements (eV per atom) = -0.043

```
CdCo3N
1.0
-0.956 0.934 -3.616
1.290 -3.420 -1.225
-3.505 -1.514 0.535
Co N Cd
3 1 1
direct
0.000 0.500 0.500
0.500 0.500 0.000
0.500 0.000 0.500
0.500 0.500 0.500
0.000 0.000 0.000
```

---

Entry 7:
DFT (PBE-GGA) results for CdCo2N2 after structural relaxation.

Results
- energy relative to the elements (eV per atom) = 0.128
- ΔE to the lowest computed polymorph (eV per formula unit) = 0.00

```
CdCo2N2
1.0
-2.299 -2.007 0.285
1.254 1.257 2.497
-7.619 4.458 1.581
Co N Cd
2 2 1
direct
0.535 0.268 0.103
0.465 0.732 0.897
0.861 0.431 0.848
0.139 0.569 0.152
0.000 0.000 0.500
```

---

Entry 8:
DFT (PBE-GGA) results for CdCo2N2 after structural relaxation.

Results
- energy relative to the elements (eV per atom) = 0.307
- ΔE to the lowest computed polymorph (eV per formula unit) = 0.90

```
CdCo2N2
1.0
-4.058 3.758 1.195
-0.476 -1.263 2.358
10.683 9.270 7.121
Co N Cd
8 8 4
direct
0.637 0.250 0.567
0.137 0.250 0.933
0.863 0.750 0.434
0.863 0.750 0.067
0.363 0.750 0.433
0.137 0.250 0.566
0.363 0.750 0.066
0.637 0.250 0.934
0.360 0.750 0.938
0.862 0.750 0.941
0.860 0.750 0.562
0.640 0.250 0.062
0.362 0.750 0.559
0.638 0.250 0.441
0.140 0.250 0.438
0.138 0.250 0.059
0.365 0.250 0.228
0.135 0.750 0.728
0.865 0.250 0.272
0.635 0.750 0.772
```